Arrangement w

MgFe6O6F6 | GGA+U | relaxed

abc: 5.885 6.002 7.856
angles: 106.99 98.91 113.01
Positions (direct):
Mg 0.000 0.000 0.000
Fe 0.035 0.022 0.508
Fe 0.290 0.551 0.367
Fe 0.360 0.957 0.797
Fe 0.630 0.010 0.190
Fe 0.672 0.448 0.644
Fe 0.996 0.498 0.004
O 0.026 0.697 0.826
O 0.231 0.809 0.536
O 0.323 0.330 0.500
O 0.348 0.684 0.172
O 0.635 0.292 0.828
O 0.951 0.288 0.167
F 0.071 0.183 0.819
F 0.386 0.147 0.082
F 0.598 0.819 0.872
F 0.705 0.711 0.497
F 0.777 0.211 0.482
F 0.923 0.804 0.172



Arrangement x

MgFe6O6F6 | GGA+U | relaxed

abc: 3.116 5.128 14.280
angles: 92.45 90.30 90.06
Positions (direct):
Mg 0.000 0.000 0.000
Fe 0.003 0.333 0.333
Fe 0.011 0.428 0.621
Fe 0.020 0.500 0.945
Fe 0.496 0.895 0.200
Fe 0.508 0.925 0.494
Fe 0.509 0.980 0.812
O 0.009 0.094 0.556
O 0.010 0.167 0.870
O 0.505 0.188 0.394
O 0.510 0.613 0.581
O 0.517 0.761 0.926
O 0.997 0.112 0.221
F 0.007 0.708 0.422
F 0.009 0.767 0.750
F 0.025 0.717 0.086
F 0.503 0.236 0.030
F 0.505 0.555 0.271
F 0.508 0.263 0.713



What are the relative energies? In meV per atom: arrangement w 0; arrangement x 37.



Arrangement w

MgFe6O6F6 | GGA+U | relaxed

abc: 3.088 5.188 14.360
angles: 96.83 90.19 90.30
Positions (direct):
Mg 0.000 0.000 0.000
Fe 0.026 0.142 0.197
Fe 0.028 0.316 0.803
Fe 0.037 0.123 0.511
Fe 0.509 0.490 0.019
Fe 0.532 0.629 0.355
Fe 0.533 0.725 0.659
O 0.022 0.314 0.935
O 0.029 0.446 0.278
O 0.034 0.825 0.411
O 0.521 0.181 0.103
O 0.529 0.468 0.761
O 0.536 0.011 0.577
F 0.031 0.488 0.590
F 0.034 0.953 0.752
F 0.499 0.819 0.940
F 0.525 0.944 0.253
F 0.533 0.321 0.438
F 0.998 0.725 0.090



Arrangement x

MgFe6O6F6 | GGA+U | relaxed

abc: 3.074 5.238 14.423
angles: 95.22 90.00 90.36
Positions (direct):
Mg 0.000 0.000 0.000
Fe 0.008 0.172 0.515
Fe 0.008 0.331 0.806
Fe 0.010 0.121 0.196
Fe 0.503 0.489 0.022
Fe 0.508 0.750 0.663
Fe 0.510 0.556 0.355
O 0.009 0.427 0.273
O 0.014 0.320 0.938
O 0.506 0.017 0.574
O 0.508 0.313 0.441
O 0.510 0.488 0.765
O 0.512 0.174 0.103
F 0.006 0.507 0.600
F 0.009 0.975 0.755
F 0.010 0.791 0.407
F 0.498 0.819 0.943
F 0.507 0.938 0.254
F 0.993 0.726 0.092



What are the relative energies? In meV per atom: arrangement w 0; arrangement x 8.